No. 1
A relaxed TaWNO6 crystal. Source: the Materials Project database, functional PBE+U.

Geometry as CIF:
```
data_TaWNO6
_cell_length_a 7.456
_cell_length_b 7.456
_cell_length_c 7.456
_cell_angle_alpha 120.29
_cell_angle_beta 119.66
_cell_angle_gamma 90.05
_space_group_name_H-M_alt 'P 1'
_space_group_IT_number 1
_space_group_name_Hall 'P 1'
loop_
_atom_site_label
_atom_site_fract_x
_atom_site_fract_y
_atom_site_fract_z
_atom_site_occupancy
Ta1 0.000 0.000 0.000 1
Ta2 0.500 0.000 0.500 1
W1 0.500 0.000 0.000 1
W2 0.500 0.500 0.500 1
N1 0.876 0.626 0.250 1
N2 0.124 0.374 0.750 1
O1 0.189 0.939 0.250 1
O2 0.556 0.306 0.250 1
O3 0.197 0.940 0.884 1
O4 0.555 0.312 0.616 1
O5 0.555 0.940 0.243 1
O6 0.197 0.312 0.257 1
O7 0.811 0.061 0.750 1
O8 0.444 0.694 0.750 1
O9 0.803 0.060 0.116 1
O10 0.445 0.688 0.384 1
O11 0.445 0.060 0.757 1
O12 0.803 0.688 0.743 1
```

---

No. 2
A relaxed Sr5Ca3Ti5Mn3O20 crystal. Source: the Materials Project database, functional PBE+U.

Geometry as CIF:
```
data_Sr5Ca3Ti5Mn3O20
_cell_length_a 11.136
_cell_length_b 11.395
_cell_length_c 17.642
_cell_angle_alpha 108.81
_cell_angle_beta 108.66
_cell_angle_gamma 89.85
_space_group_name_H-M_alt 'P 1'
_space_group_IT_number 1
_space_group_name_Hall 'P 1'
loop_
_atom_site_label
_atom_site_fract_x
_atom_site_fract_y
_atom_site_fract_z
_atom_site_occupancy
Sr1 0.309 0.061 0.610 1
Sr2 0.311 0.558 0.612 1
Sr3 0.807 0.063 0.609 1
Sr4 0.808 0.559 0.614 1
Sr5 0.198 0.434 0.387 1
Sr6 0.199 0.441 0.891 1
Sr7 0.696 0.434 0.390 1
Sr8 0.693 0.936 0.384 1
Sr9 0.695 0.937 0.892 1
Sr10 0.057 0.296 0.612 1
Sr11 0.059 0.806 0.614 1
Sr12 0.562 0.299 0.612 1
Sr13 0.562 0.801 0.612 1
Sr14 0.444 0.200 0.385 1
Sr15 0.446 0.199 0.891 1
Sr16 0.445 0.701 0.386 1
Sr17 0.448 0.705 0.893 1
Sr18 0.943 0.201 0.386 1
Sr19 0.950 0.198 0.890 1
Sr20 0.947 0.705 0.388 1
Ca1 0.304 0.068 0.108 1
Ca2 0.303 0.566 0.104 1
Ca3 0.798 0.068 0.105 1
Ca4 0.803 0.567 0.102 1
Ca5 0.197 0.932 0.392 1
Ca6 0.205 0.937 0.896 1
Ca7 0.696 0.441 0.893 1
Ca8 0.056 0.286 0.104 1
Ca9 0.053 0.788 0.106 1
Ca10 0.548 0.284 0.101 1
Ca11 0.554 0.794 0.109 1
Ca12 0.947 0.705 0.895 1
Ti1 0.006 0.994 0.998 1
Ti2 0.003 0.999 0.496 1
Ti3 0.003 0.495 0.995 1
Ti4 0.006 0.504 0.504 1
Ti5 0.507 0.001 0.006 1
Ti6 0.501 0.999 0.496 1
Ti7 0.507 0.498 0.999 1
Ti8 0.504 0.500 0.499 1
Ti9 0.257 0.252 0.004 1
Ti10 0.256 0.249 0.504 1
Ti11 0.257 0.756 0.007 1
Ti12 0.259 0.752 0.509 1
Ti13 0.756 0.255 0.001 1
Ti14 0.752 0.248 0.497 1
Ti15 0.760 0.753 0.005 1
Ti16 0.758 0.751 0.505 1
Ti17 0.100 0.082 0.244 1
Ti18 0.102 0.586 0.242 1
Ti19 0.606 0.583 0.242 1
Ti20 0.843 0.413 0.242 1
Mn1 0.114 0.094 0.754 1
Mn2 0.110 0.603 0.756 1
Mn3 0.602 0.090 0.244 1
Mn4 0.613 0.099 0.752 1
Mn5 0.616 0.595 0.755 1
Mn6 0.361 0.398 0.244 1
Mn7 0.364 0.409 0.753 1
Mn8 0.354 0.906 0.246 1
Mn9 0.361 0.907 0.757 1
Mn10 0.859 0.410 0.754 1
Mn11 0.856 0.898 0.244 1
Mn12 0.865 0.905 0.753 1
O1 0.125 0.119 0.486 1
O2 0.128 0.121 0.995 1
O3 0.123 0.619 0.485 1
O4 0.124 0.624 0.994 1
O5 0.623 0.121 0.490 1
O6 0.631 0.129 0.995 1
O7 0.625 0.622 0.490 1
O8 0.631 0.621 0.995 1
O9 0.141 0.385 0.023 1
O10 0.128 0.374 0.500 1
O11 0.140 0.886 0.023 1
O12 0.133 0.872 0.501 1
O13 0.643 0.385 0.022 1
O14 0.632 0.377 0.505 1
O15 0.642 0.881 0.020 1
O16 0.631 0.873 0.503 1
O17 0.367 0.115 0.484 1
O18 0.375 0.117 0.992 1
O19 0.371 0.620 0.488 1
O20 0.380 0.619 0.996 1
O21 0.876 0.119 0.490 1
O22 0.881 0.123 0.999 1
O23 0.874 0.619 0.488 1
O24 0.879 0.615 0.991 1
O25 0.392 0.388 0.019 1
O26 0.379 0.375 0.503 1
O27 0.391 0.888 0.021 1
O28 0.377 0.874 0.501 1
O29 0.894 0.391 0.024 1
O30 0.883 0.381 0.504 1
O31 0.894 0.889 0.021 1
O32 0.880 0.876 0.502 1
O33 0.099 0.110 0.147 1
O34 0.078 0.076 0.625 1
O35 0.095 0.612 0.144 1
O36 0.074 0.586 0.627 1
O37 0.587 0.099 0.128 1
O38 0.568 0.080 0.623 1
O39 0.597 0.608 0.142 1
O40 0.572 0.581 0.626 1
O41 0.441 0.419 0.369 1
O42 0.458 0.415 0.879 1
O43 0.442 0.915 0.369 1
O44 0.456 0.917 0.880 1
O45 0.928 0.412 0.352 1
O46 0.952 0.409 0.878 1
O47 0.951 0.917 0.368 1
O48 0.955 0.909 0.880 1
O49 0.334 0.280 0.128 1
O50 0.323 0.294 0.626 1
O51 0.329 0.779 0.130 1
O52 0.320 0.793 0.628 1
O53 0.835 0.289 0.141 1
O54 0.824 0.299 0.627 1
O55 0.843 0.777 0.128 1
O56 0.826 0.792 0.627 1
O57 0.183 0.200 0.349 1
O58 0.198 0.216 0.879 1
O59 0.184 0.704 0.346 1
O60 0.202 0.722 0.882 1
O61 0.695 0.203 0.370 1
O62 0.705 0.224 0.880 1
O63 0.687 0.694 0.350 1
O64 0.712 0.713 0.880 1
O65 0.414 0.073 0.240 1
O66 0.429 0.072 0.752 1
O67 0.437 0.564 0.237 1
O68 0.431 0.577 0.754 1
O69 0.931 0.068 0.238 1
O70 0.929 0.072 0.750 1
O71 0.933 0.560 0.238 1
O72 0.926 0.585 0.762 1
O73 0.168 0.437 0.239 1
O74 0.179 0.432 0.752 1
O75 0.159 0.931 0.247 1
O76 0.178 0.924 0.762 1
O77 0.664 0.421 0.238 1
O78 0.675 0.422 0.759 1
O79 0.670 0.920 0.240 1
O80 0.683 0.931 0.754 1
```

---

No. 3
A relaxed LiMn3OF5 crystal. Source: the Materials Project database, functional PBE+U.

Geometry as CIF:
```
data_LiMn3OF5
_cell_length_a 6.304
_cell_length_b 6.358
_cell_length_c 6.360
_cell_angle_alpha 92.21
_cell_angle_beta 92.41
_cell_angle_gamma 91.94
_space_group_name_H-M_alt 'P 1'
_space_group_IT_number 1
_space_group_name_Hall 'P 1'
loop_
_atom_site_label
_atom_site_fract_x
_atom_site_fract_y
_atom_site_fract_z
_atom_site_occupancy
Li1 0.492 0.503 0.517 1
Li2 0.003 0.015 0.024 1
Mn1 0.729 0.445 0.916 1
Mn2 0.066 0.244 0.548 1
Mn3 0.587 0.076 0.261 1
Mn4 0.437 0.905 0.752 1
Mn5 0.930 0.762 0.427 1
Mn6 0.262 0.564 0.057 1
O1 0.909 0.064 0.319 1
O2 0.462 0.595 0.818 1
F1 0.683 0.096 0.912 1
F2 0.062 0.310 0.902 1
F3 0.404 0.180 0.545 1
F4 0.821 0.475 0.586 1
F5 0.188 0.538 0.391 1
F6 0.543 0.401 0.203 1
F7 0.091 0.917 0.703 1
F8 0.582 0.798 0.452 1
F9 0.933 0.681 0.077 1
F10 0.317 0.931 0.089 1
```

---

No. 4
A relaxed Ba4Re2NiO12 crystal. Source: the Materials Project database, functional PBE+U.

Geometry as CIF:
```
data_Ba4Re2NiO12
_cell_length_a 5.846
_cell_length_b 5.846
_cell_length_c 10.110
_cell_angle_alpha 90.00
_cell_angle_beta 73.19
_cell_angle_gamma 120.00
_space_group_name_H-M_alt 'P 1'
_space_group_IT_number 1
_space_group_name_Hall 'P 1'
loop_
_atom_site_label
_atom_site_fract_x
_atom_site_fract_y
_atom_site_fract_z
_atom_site_occupancy
Ba1 0.571 0.285 0.144 1
Ba2 0.425 0.712 0.863 1
Ba3 0.248 0.124 0.628 1
Ba4 0.743 0.871 0.386 1
Re1 0.997 0.999 0.004 1
Re2 0.012 0.506 0.481 1
Ni1 0.819 0.409 0.772 1
O1 0.773 0.612 0.616 1
O2 0.224 0.612 0.616 1
O3 0.773 0.161 0.616 1
O4 0.234 0.381 0.385 1
O5 0.762 0.381 0.385 1
O6 0.234 0.853 0.385 1
O7 0.079 0.811 0.110 1
O8 0.622 0.811 0.110 1
O9 0.079 0.268 0.110 1
O10 0.923 0.196 0.880 1
O11 0.393 0.197 0.880 1
O12 0.923 0.727 0.880 1
```

---

No. 5
A relaxed CeAgW2O8 crystal. Source: the Materials Project database, functional PBE+U.

Geometry as CIF:
```
data_CeAgW2O8
_cell_length_a 7.596
_cell_length_b 7.596
_cell_length_c 7.423
_cell_angle_alpha 65.23
_cell_angle_beta 65.23
_cell_angle_gamma 93.92
_space_group_name_H-M_alt 'P 1'
_space_group_IT_number 1
_space_group_name_Hall 'P 1'
loop_
_atom_site_label
_atom_site_fract_x
_atom_site_fract_y
_atom_site_fract_z
_atom_site_occupancy
Ce1 0.702 0.298 0.000 1
Ce2 0.298 0.702 0.000 1
Ag1 0.690 0.690 0.480 1
Ag2 0.310 0.310 0.520 1
W1 0.215 0.215 0.028 1
W2 0.785 0.785 0.972 1
W3 0.840 0.160 0.500 1
W4 0.160 0.840 0.500 1
O1 0.347 0.101 0.240 1
O2 0.653 0.899 0.760 1
O3 0.899 0.653 0.760 1
O4 0.101 0.347 0.240 1
O5 0.689 0.210 0.359 1
O6 0.311 0.790 0.641 1
O7 0.790 0.311 0.641 1
O8 0.210 0.689 0.359 1
O9 0.698 0.950 0.093 1
O10 0.302 0.050 0.907 1
O11 0.050 0.302 0.907 1
O12 0.950 0.698 0.093 1
O13 0.981 0.981 0.340 1
O14 0.019 0.019 0.660 1
O15 0.557 0.557 0.143 1
O16 0.443 0.443 0.857 1
```

---

Summary of formation energy from the elements in eV/f.u.
-14.3; -113.4; -27.4; -49.5; -28.1
(order as listed above)
Summary of total magnetization in μB per cell
6.03; 59.53; 30.00; 2.00; 2.00
(order as listed above)